KFeAs3H7O13, relaxed, DFT GGA+U; symmetry = Pc (7); ρ = 3.0 g cm⁻³; total magnetic moment = 10.00 Bohr magnetons per cell; total DFT energy (no corrections) = -5.596 eV per atom; energy of formation = -39.45 eV/f.u.
1.0
4.749 0.000 -0.397
0.000 8.736 0.000
0.038 0.000 14.259
O H K As Fe
26 14 2 6 2
Direct
0.527 0.223 0.867
0.016 0.063 0.808
0.034 0.748 0.006
0.534 0.252 0.506
0.516 0.937 0.308
0.029 0.393 0.816
0.529 0.607 0.316
0.749 0.343 0.249
0.874 0.847 0.661
0.374 0.153 0.161
0.134 0.158 0.335
0.973 0.942 0.191
0.323 0.477 0.058
0.475 0.770 0.135
0.479 0.392 0.686
0.167 0.478 0.433
0.979 0.608 0.186
0.473 0.058 0.691
0.634 0.842 0.835
0.823 0.523 0.558
0.975 0.230 0.635
0.961 0.261 0.998
0.249 0.657 0.749
0.027 0.777 0.367
0.461 0.739 0.498
0.667 0.522 0.933
0.909 0.674 0.970
0.485 0.770 0.806
0.985 0.230 0.306
0.606 0.663 0.527
0.409 0.326 0.470
0.850 0.417 0.210
0.014 0.771 0.692
0.514 0.229 0.192
0.023 0.497 0.485
0.350 0.583 0.710
0.650 0.416 0.289
0.106 0.337 0.027
0.523 0.503 0.985
0.150 0.584 0.789
0.628 0.994 0.013
0.128 0.006 0.513
0.750 0.965 0.749
0.208 0.645 0.102
0.708 0.355 0.602
0.296 0.654 0.396
0.796 0.346 0.896
0.250 0.035 0.249
0.751 0.773 0.249
0.251 0.227 0.749